Record 1
A plane-wave DFT calculation with r²SCAN was carried out for crystalline AcCuO3 at its relaxed geometry.

**Formation enthalpy at 0 K**: -2.2972 eV per atom

Cell lengths 3.9133, 3.9133, 3.9133 Å; angles 90.00, 90.00, 90.00 degrees
Last column: nearest neighbours and their distance in Å.
Space group Pm-3m (No. 221)
One atom of each set of equivalent atoms:
Ac 0.0000 0.0000 0.0000  12 O 2.77
Cu 0.5000 0.5000 0.5000  6 O 1.96
O 0.0000 0.5000 0.5000  2 Cu 1.96

***

Record 2
A plane-wave DFT calculation with r²SCAN was carried out for crystalline VFeSb at its relaxed geometry.

**Formation enthalpy at 0 K**: -0.1013 eV per atom

Cell lengths 5.7538, 5.7538, 5.7538 Å; angles 90.00, 90.00, 90.00 degrees
Last column: nearest neighbours and their distance in Å.
Space group F-43m (No. 216)
One atom of each set of equivalent atoms:
V 0.0000 0.0000 0.0000  4 Fe 2.49
Fe 0.2500 0.2500 0.2500  4 Sb 2.49, 4 V 2.49
Sb 0.0000 0.0000 0.5000  4 Fe 2.49